Entry 1:
VASP calculation (r2SCAN) on Ca4ZnFe3Si8O24 after structural relaxation.

Geometry as extended XYZ:
```
40
Lattice="5.240 0.000 0.000 0.000 8.979 0.000 -2.493 0.000 9.519" Properties=species:S:1:pos:R:3 pbc="T T T"
Ca 0.000 0.000 0.000
Ca -1.247 4.470 4.760
Ca 1.373 0.896 4.760
Ca 2.620 5.389 0.000
Zn 0.000 3.517 0.000
Fe -1.247 7.969 4.760
Fe 2.620 1.853 0.000
Fe 1.373 6.373 4.760
Si -0.440 6.324 2.015
Si -1.674 1.851 6.783
Si 1.797 3.524 2.730
Si 0.566 7.999 7.504
Si 2.181 7.999 2.016
Si 0.950 3.524 6.789
Si 4.421 1.851 2.736
Si 3.187 6.324 7.505
O -0.534 0.460 3.457
O -1.754 4.930 8.212
O -0.444 6.350 3.619
O -1.682 1.884 8.387
O 0.388 2.866 3.335
O -0.846 7.341 8.098
O 0.973 6.982 1.422
O -0.257 2.507 6.195
O 1.786 3.498 1.122
O 0.572 7.990 5.900
O 1.898 0.409 1.295
O 0.659 4.913 6.067
O 2.088 4.913 3.453
O 0.849 0.409 8.224
O 2.175 7.990 3.619
O 0.961 3.498 8.397
O 3.004 2.507 3.324
O 1.774 6.982 8.098
O 3.592 7.341 1.422
O 2.359 2.866 6.185
O 4.428 1.884 1.132
O 3.191 6.350 5.901
O 4.501 4.930 1.307
O 3.281 0.460 6.062
```

Computed properties:
As for the volume: 447.9 Å³ per cell. The calculation puts the total magnetic moment at 0.3000 μB/atom. The total energy comes out at -407.071 eV per cell.


Entry 2:
VASP calculation (r2SCAN) on TmNi after structural relaxation.

Geometry as extended XYZ:
```
8
Lattice="6.964 0.000 0.000 0.000 4.043 0.000 0.000 0.000 5.342" Properties=species:S:1:pos:R:3 pbc="T T T"
Tm 1.254 1.011 0.707
Tm 2.228 3.032 3.378
Tm 4.736 1.011 1.964
Tm 5.710 3.032 4.635
Ni 0.244 1.011 3.333
Ni 3.238 3.032 0.662
Ni 3.726 1.011 4.680
Ni 6.720 3.032 2.009
```

Computed properties:
As for the volume: 150.4 Å³ per cell. The calculation puts the total magnetic moment at 0.0000 μB/atom. The total energy comes out at -192.180 eV per cell.


Entry 3:
VASP calculation (r2SCAN) on Y3ReB7 after structural relaxation.

Geometry as extended XYZ:
```
22
Lattice="1.773 -7.901 0.000 1.773 7.901 0.000 0.000 0.000 9.356" Properties=species:S:1:pos:R:3 pbc="T T T"
Y 1.773 6.248 5.237
Y 1.773 6.248 8.796
Y 1.773 4.082 2.339
Y 1.773 -4.082 7.017
Y 1.773 -6.248 0.559
Y 1.773 -6.248 4.118
Re 1.773 7.059 2.339
Re 1.773 -7.059 7.017
B 1.773 3.587 4.997
B 1.773 3.587 9.036
B 1.773 2.078 6.089
B 1.773 2.078 7.944
B 1.773 0.670 2.339
B 1.773 0.328 5.577
B 1.773 0.328 8.456
B 1.773 -0.328 0.900
B 1.773 -0.328 3.778
B 1.773 -0.670 7.017
B 1.773 -2.078 1.411
B 1.773 -2.078 3.267
B 1.773 -3.587 0.320
B 1.773 -3.587 4.358
```

Computed properties:
As for the volume: 262.1 Å³ per cell. The calculation puts the total magnetic moment at 0.0219 μB/atom. The total energy comes out at -344.250 eV per cell.


Entry 4:
VASP calculation (r2SCAN) on Ce2InNi2 after structural relaxation.

Geometry as extended XYZ:
```
10
Lattice="7.499 0.000 0.000 0.000 7.499 0.000 0.000 0.000 3.618" Properties=species:S:1:pos:R:3 pbc="T T T"
Ce 1.290 2.460 0.000
Ce 2.460 6.209 0.000
Ce 5.040 1.290 0.000
Ce 6.209 5.040 0.000
In 0.000 0.000 1.809
In 3.750 3.750 1.809
Ni 0.944 4.693 1.809
Ni 2.806 0.944 1.809
Ni 4.693 6.555 1.809
Ni 6.555 2.806 1.809
```

Computed properties:
As for the volume: 203.5 Å³ per cell. The calculation puts the total magnetic moment at 0.1149 μB/atom. The total energy comes out at -220.953 eV per cell.